# 1
Na3TiAlSi2SO12: relaxed, GGA-PBE.

Computed properties:
**Electronic total energy**: -825.11 eV/cell
**Formation energy**: -2.790 eV per atom
**Calculated volume**: 1472.3 Å³ per cell

a = 8.8299 Å, b = 8.8299 Å, c = 21.8386 Å
α = 90.07°, β = 89.93°, γ = 120.15°
With the nearest neighbours (Å) after each atom.
Element x y z (fractional)
Na 0.6292 0.0015 0.2455  5 O 2.37-2.52
Na 0.0013 0.6402 0.2483  5 O 2.32-2.59
Na 0.9985 0.3708 0.7455  5 O 2.37-2.52
Na 0.3598 0.9987 0.7483  5 O 2.32-2.59
Na 0.2959 0.3348 0.5789  5 O 2.37-2.52
Na 0.6679 0.9735 0.5816  5 O 2.32-2.59
Na 0.6652 0.7041 0.0789  5 O 2.37-2.52
Na 0.0265 0.3321 0.0816  5 O 2.32-2.59
Na 0.9626 0.6682 0.9122  5 O 2.37-2.52
Na 0.3346 0.3068 0.9150  5 O 2.32-2.59
Na 0.3318 0.0374 0.4122  5 O 2.37-2.52
Na 0.6932 0.6654 0.4150  5 O 2.32-2.59
Na 0.0022 0.0141 0.4974  5 O 2.37-2.56
Na 0.9859 0.9978 0.9974  5 O 2.37-2.56
Na 0.6689 0.3474 0.8308  5 O 2.37-2.56
Na 0.6526 0.3311 0.3308  5 O 2.37-2.56
Na 0.3355 0.6807 0.1641  5 O 2.37-2.56
Na 0.3193 0.6645 0.6641  5 O 2.37-2.56
Ti 0.0242 0.0099 0.6463  4 O 1.83-2.03
Ti 0.9901 0.9758 0.1463  4 O 1.83-2.03
Ti 0.6909 0.3432 0.9796  4 O 1.83-2.03
Ti 0.6568 0.3091 0.4796  4 O 1.83-2.03
Ti 0.3575 0.6765 0.3129  4 O 1.83-2.03
Ti 0.3235 0.6425 0.8129  4 O 1.83-2.03
Al 0.0043 0.0085 0.3522  5 O 1.84-1.94
Al 0.9915 0.9957 0.8522  5 O 1.84-1.94
Al 0.6710 0.3418 0.6855  5 O 1.84-1.94
Al 0.6582 0.3290 0.1855  5 O 1.84-1.94
Al 0.3376 0.6751 0.0189  5 O 1.84-1.94
Al 0.3249 0.6624 0.5189  5 O 1.84-1.94
Si 0.2928 0.0086 0.2526  4 O 1.62-1.68
Si 0.7130 0.7014 0.2522  4 O 1.62-1.67
Si 0.2986 0.2870 0.7522  4 O 1.62-1.67
Si 0.9914 0.7072 0.7526  4 O 1.62-1.68
Si 0.9594 0.3419 0.5860  4 O 1.62-1.68
Si 0.3796 0.0347 0.5856  4 O 1.62-1.67
Si 0.9653 0.6204 0.0856  4 O 1.62-1.67
Si 0.6581 0.0406 0.0860  4 O 1.62-1.68
Si 0.6261 0.6753 0.9193  4 O 1.62-1.68
Si 0.0463 0.3681 0.9189  4 O 1.62-1.67
Si 0.6319 0.9537 0.4189  4 O 1.62-1.67
Si 0.3247 0.3739 0.4193  4 O 1.62-1.68
S 0.0024 0.2891 0.2504  4 O 1.48-1.49
S 0.7109 0.9976 0.7504  4 O 1.48-1.49
S 0.6691 0.6224 0.5837  4 O 1.48-1.49
S 0.3776 0.3309 0.0837  4 O 1.48-1.49
S 0.3357 0.9558 0.9171  4 O 1.48-1.49
S 0.0442 0.6643 0.4171  4 O 1.48-1.49
O 0.1976 0.0291 0.3128  1 Si 1.62
O 0.8375 0.7997 0.3106  1 Si 1.62
O 0.9718 0.1744 0.3040  1 S 1.48
O 0.2003 0.1625 0.8106  1 Si 1.62
O 0.9709 0.8024 0.8128  1 Si 1.62
O 0.8256 0.0282 0.8040  1 S 1.48
O 0.7856 0.9697 0.6936  1 S 1.48
O 0.1693 0.2060 0.6908  1 Si 1.67, 1 Ti 1.83
O 0.0284 0.8413 0.6935  1 Si 1.67, 1 Ti 1.83
O 0.7940 0.8307 0.1908  1 Si 1.67, 1 Ti 1.83
O 0.0303 0.2144 0.1936  1 S 1.48
O 0.1587 0.9716 0.1935  1 Si 1.67, 1 Ti 1.83
O 0.8643 0.3624 0.6461  1 Si 1.62
O 0.5042 0.1330 0.6439  1 Si 1.62
O 0.6384 0.5077 0.6373  1 S 1.48
O 0.8670 0.4958 0.1439  1 Si 1.62
O 0.6376 0.1357 0.1461  1 Si 1.62
O 0.4923 0.3616 0.1373  1 S 1.48
O 0.4523 0.3031 0.0270  1 S 1.48
O 0.8359 0.5393 0.0241  1 Si 1.67, 1 Ti 1.83
O 0.6950 0.1746 0.0269  1 Si 1.67, 1 Ti 1.83
O 0.4607 0.1641 0.5241  1 Si 1.67, 1 Ti 1.83
O 0.6969 0.5477 0.5270  1 S 1.48
O 0.8254 0.3050 0.5269  1 Si 1.67, 1 Ti 1.83
O 0.5310 0.6957 0.9794  1 Si 1.62
O 0.1709 0.4664 0.9772  1 Si 1.62
O 0.3051 0.8411 0.9706  1 S 1.48
O 0.5336 0.8291 0.4772  1 Si 1.62
O 0.3043 0.4690 0.4794  1 Si 1.62
O 0.1589 0.6949 0.4706  1 S 1.48
O 0.1189 0.6364 0.3603  1 S 1.48
O 0.5026 0.8726 0.3575  1 Si 1.67, 1 Ti 1.83
O 0.3617 0.5079 0.3602  1 Si 1.67, 1 Ti 1.83
O 0.1274 0.4974 0.8575  1 Si 1.67, 1 Ti 1.83
O 0.3636 0.8811 0.8603  1 S 1.48
O 0.4921 0.6383 0.8602  1 Si 1.67, 1 Ti 1.83
O 0.0276 0.8241 0.4138  1 S 1.49
O 0.8201 0.9680 0.4080  1 Si 1.62
O 0.1611 0.1759 0.4103  1 Si 1.63
O 0.0320 0.1799 0.9080  1 Si 1.62
O 0.1759 0.9724 0.9138  1 S 1.49
O 0.8241 0.8389 0.9103  1 Si 1.63
O 0.9680 0.1566 0.5893  1 Si 1.68
O 0.1874 0.0258 0.5883  1 Si 1.66
O 0.8221 0.8020 0.5901  1 S 1.49
O 0.9742 0.8126 0.0883  1 Si 1.66
O 0.8434 0.0320 0.0893  1 Si 1.68
O 0.1980 0.1779 0.0901  1 S 1.49
O 0.6943 0.1574 0.7471  1 S 1.49
O 0.4867 0.3014 0.7413  1 Si 1.62
O 0.8277 0.5093 0.7437  1 Si 1.63
O 0.6986 0.5133 0.2413  1 Si 1.62
O 0.8426 0.3057 0.2471  1 S 1.49
O 0.4907 0.1723 0.2437  1 Si 1.63
O 0.6347 0.4899 0.9226  1 Si 1.68
O 0.8541 0.3591 0.9216  1 Si 1.66
O 0.4887 0.1353 0.9234  1 S 1.49
O 0.6409 0.1459 0.4216  1 Si 1.66
O 0.5101 0.3653 0.4226  1 Si 1.68
O 0.8647 0.5113 0.4234  1 S 1.49
O 0.3610 0.4908 0.0805  1 S 1.49
O 0.1534 0.6347 0.0747  1 Si 1.62
O 0.4944 0.8426 0.0770  1 Si 1.63
O 0.3653 0.8466 0.5747  1 Si 1.62
O 0.5092 0.6390 0.5805  1 S 1.49
O 0.1574 0.5056 0.5770  1 Si 1.63
O 0.3014 0.8232 0.2560  1 Si 1.68
O 0.5207 0.6925 0.2549  1 Si 1.66
O 0.1554 0.4686 0.2568  1 S 1.49
O 0.3075 0.4793 0.7549  1 Si 1.66
O 0.1768 0.6986 0.7560  1 Si 1.68
O 0.5314 0.8446 0.7568  1 S 1.49

# 2
NaTl2In: relaxed, GGA-PBE.

Computed properties:
**Electronic total energy**: -9.12 eV/cell
**Symmetry**: No. 225
**Formation energy**: -0.079 eV per atom
**Calculated volume**: 111.9 Å³ per cell

a = 5.4088 Å, b = 5.4088 Å, c = 5.4088 Å
α = 60.00°, β = 60.00°, γ = 60.00°
With the nearest neighbours (Å) after each atom.
Element x y z (fractional)
Na 0.0000 0.0000 0.0000  8 Tl 3.31
Tl 0.2500 0.2500 0.2500  4 In 3.31, 4 Na 3.31
Tl 0.7500 0.7500 0.7500  4 In 3.31, 4 Na 3.31
In 0.5000 0.5000 0.5000  8 Tl 3.31